Record 1
The following is a PBE-GGA calculation of an optimized crystal structure of RbDyP2O7, from the Materials Project database.

Structure (CIF):
```
data_RbDyP2O7
_chemical_formula_sum 'Rb4 Dy4 P8 O28'
_cell_length_a 7.889
_cell_length_b 11.083
_cell_length_c 8.841
_cell_angle_alpha 90.00
_cell_angle_beta 105.87
_cell_angle_gamma 90.00
_symmetry_space_group_name_H-M 'P 1 21/c 1'
_symmetry_Int_Tables_number 14
_symmetry_space_group_name_Hall '-P 2ybc'
loop_
_atom_site_label
_atom_site_type_symbol
_atom_site_fract_x
_atom_site_fract_y
_atom_site_fract_z
Rb1 Rb 0.182 0.182 0.058
Dy1 Dy 0.237 0.600 0.257
P1 P 0.132 0.598 0.823
P2 P 0.433 0.633 0.691
O1 O 0.007 0.503 0.726
O2 O 0.080 0.725 0.757
O3 O 0.149 0.590 0.998
O4 O 0.326 0.565 0.802
O5 O 0.328 0.609 0.521
O6 O 0.386 0.074 0.766
O7 O 0.447 0.733 0.238
```

Record 2
The following is a PBE-GGA calculation of an optimized crystal structure of DyPaO4, from the Materials Project database.

Structure (CIF):
```
data_DyPaO4
_chemical_formula_sum 'Dy1 Pa1 O4'
_cell_length_a 3.812
_cell_length_b 3.812
_cell_length_c 5.397
_cell_angle_alpha 90.00
_cell_angle_beta 90.00
_cell_angle_gamma 90.00
_symmetry_space_group_name_H-M 'P 4/m m m'
_symmetry_Int_Tables_number 123
_symmetry_space_group_name_Hall '-P 4 2'
loop_
_atom_site_label
_atom_site_type_symbol
_atom_site_fract_x
_atom_site_fract_y
_atom_site_fract_z
Dy1 Dy 0.000 0.000 0.000
Pa1 Pa 0.500 0.500 0.500
O1 O 0.000 0.500 0.260
```

Record 3
The following is a PBE-GGA calculation of an optimized crystal structure of Dy3ReO7, from the Materials Project database.

Structure (CIF):
```
data_Dy3ReO7
_chemical_formula_sum 'Dy12 Re4 O28'
_cell_length_a 7.467
_cell_length_b 10.506
_cell_length_c 7.439
_cell_angle_alpha 90.00
_cell_angle_beta 90.00
_cell_angle_gamma 90.00
_symmetry_space_group_name_H-M 'C m c m'
_symmetry_Int_Tables_number 63
_symmetry_space_group_name_Hall '-C 2c 2'
loop_
_atom_site_label
_atom_site_type_symbol
_atom_site_fract_x
_atom_site_fract_y
_atom_site_fract_z
Dy1 Dy 0.000 0.000 0.000
Dy2 Dy 0.233 0.267 0.250
Re1 Re 0.000 0.500 0.000
O1 O 0.000 0.131 0.750
O2 O 0.000 0.137 0.250
O3 O 0.000 0.432 0.250
O4 O 0.197 0.376 0.529
```

Record 4
The following is a PBE-GGA calculation of an optimized crystal structure of Dy5Re2O12, from the Materials Project database.

Structure (CIF):
```
data_Dy5Re2O12
_chemical_formula_sum 'Dy10 Re4 O24'
_cell_length_a 12.460
_cell_length_b 5.669
_cell_length_c 7.566
_cell_angle_alpha 90.00
_cell_angle_beta 107.86
_cell_angle_gamma 90.00
_symmetry_space_group_name_H-M 'C 1 2/m 1'
_symmetry_Int_Tables_number 12
_symmetry_space_group_name_Hall '-C 2y'
loop_
_atom_site_label
_atom_site_type_symbol
_atom_site_fract_x
_atom_site_fract_y
_atom_site_fract_z
Dy1 Dy 0.000 0.000 0.000
Dy2 Dy 0.186 0.500 0.323
Dy3 Dy 0.196 0.500 0.857
Re1 Re 0.000 0.214 0.500
O1 O 0.000 0.500 0.324
O2 O 0.003 0.000 0.296
O3 O 0.154 0.251 0.073
O4 O 0.165 0.255 0.584
```

| no. | VASP energy (eV/atom) |
| --- | --- |
| 1 | -7.35 |
| 2 | -9.38 |
| 3 | -8.46 |
| 4 | -8.57 |